1.
# Cd4TeSe3 | Materials Project | PBE-GGA | optimized geometry
# **DFT total energy**: -2.74 eV/atom
# **Formation enthalpy at 0 K**: -0.748 eV/atom
# **Crystal system**: orthorhombic
data_Cd4TeSe3
_cell_length_a 4.469
_cell_length_b 8.961
_cell_length_c 6.268
_cell_angle_alpha 90.00
_cell_angle_beta 90.00
_cell_angle_gamma 90.00
_space_group_name_H-M_alt 'P 1'
_space_group_IT_number 1
_space_group_name_Hall 'P 1'
loop_
_atom_site_label
_atom_site_type_symbol
_atom_site_fract_x
_atom_site_fract_y
_atom_site_fract_z
Cd1 Cd 0.000 0.000 0.000
Cd2 Cd 0.000 0.500 0.027
Cd3 Cd 0.500 0.262 0.530
Cd4 Cd 0.500 0.738 0.530
Te1 Te 0.500 0.000 0.275
Se1 Se 0.000 0.257 0.772
Se2 Se 0.000 0.743 0.772
Se3 Se 0.500 0.500 0.270

2.
# Cd2TeSe | Materials Project | PBE-GGA | optimized geometry
# **DFT total energy**: -2.65 eV/atom
# **Formation enthalpy at 0 K**: -0.645 eV/atom
# **Relative energy among the computed polymorphs**: 0 meV/atom
# **Crystal system**: tetragonal
data_Cd2TeSe
_cell_length_a 4.545
_cell_length_b 4.545
_cell_length_c 6.394
_cell_angle_alpha 90.00
_cell_angle_beta 90.00
_cell_angle_gamma 90.00
_space_group_name_H-M_alt 'P 1'
_space_group_IT_number 1
_space_group_name_Hall 'P 1'
loop_
_atom_site_label
_atom_site_type_symbol
_atom_site_fract_x
_atom_site_fract_y
_atom_site_fract_z
Cd1 Cd 0.000 0.500 0.233
Cd2 Cd 0.500 0.000 0.767
Te1 Te 0.000 0.000 0.500
Se1 Se 0.500 0.500 0.000

3.
# Cd2TeSe | Materials Project | PBE-GGA | optimized geometry
# **DFT total energy**: -2.64 eV/atom
# **Formation enthalpy at 0 K**: -0.636 eV/atom
# **Relative energy among the computed polymorphs**: 9 meV/atom
# **Crystal system**: trigonal
data_Cd2TeSe
_cell_length_a 4.541
_cell_length_b 4.541
_cell_length_c 7.410
_cell_angle_alpha 90.00
_cell_angle_beta 90.00
_cell_angle_gamma 120.00
_space_group_name_H-M_alt 'P 1'
_space_group_IT_number 1
_space_group_name_Hall 'P 1'
loop_
_atom_site_label
_atom_site_type_symbol
_atom_site_fract_x
_atom_site_fract_y
_atom_site_fract_z
Cd1 Cd 0.000 0.000 0.000
Cd2 Cd 0.333 0.667 0.530
Te1 Te 0.333 0.667 0.141
Se1 Se 0.000 0.000 0.638

4.
# ZnCdTeSe | Materials Project | PBE-GGA | optimized geometry
# **DFT total energy**: -2.70 eV/atom
# **Formation enthalpy at 0 K**: -0.610 eV/atom
# **Relative energy among the computed polymorphs**: 0 meV/atom
# **Crystal system**: trigonal
data_ZnCdTeSe
_cell_length_a 7.641
_cell_length_b 7.641
_cell_length_c 7.641
_cell_angle_alpha 33.24
_cell_angle_beta 33.24
_cell_angle_gamma 33.24
_space_group_name_H-M_alt 'P 1'
_space_group_IT_number 1
_space_group_name_Hall 'P 1'
loop_
_atom_site_label
_atom_site_type_symbol
_atom_site_fract_x
_atom_site_fract_y
_atom_site_fract_z
Zn1 Zn 0.000 0.000 0.000
Cd1 Cd 0.488 0.488 0.488
Te1 Te 0.877 0.877 0.877
Se1 Se 0.365 0.365 0.365

5.
# ZnCdTeSe | Materials Project | PBE-GGA | optimized geometry
# **DFT total energy**: -2.69 eV/atom
# **Formation enthalpy at 0 K**: -0.607 eV/atom
# **Relative energy among the computed polymorphs**: 3 meV/atom
# **Crystal system**: monoclinic
data_ZnCdTeSe
_cell_length_a 4.369
_cell_length_b 4.369
_cell_length_c 7.242
_cell_angle_alpha 90.09
_cell_angle_beta 90.09
_cell_angle_gamma 59.87
_space_group_name_H-M_alt 'P 1'
_space_group_IT_number 1
_space_group_name_Hall 'P 1'
loop_
_atom_site_label
_atom_site_type_symbol
_atom_site_fract_x
_atom_site_fract_y
_atom_site_fract_z
Zn1 Zn 0.000 0.000 0.000
Cd1 Cd 0.334 0.334 0.462
Te1 Te 0.000 0.000 0.631
Se1 Se 0.333 0.333 0.095

6.
# TlCdSe2 | Materials Project | PBE-GGA | optimized geometry
# **DFT total energy**: -2.91 eV/atom
# **Formation enthalpy at 0 K**: -0.573 eV/atom
# **Crystal system**: trigonal
data_TlCdSe2
_cell_length_a 4.115
_cell_length_b 4.115
_cell_length_c 7.178
_cell_angle_alpha 90.00
_cell_angle_beta 90.00
_cell_angle_gamma 120.00
_space_group_name_H-M_alt 'P 1'
_space_group_IT_number 1
_space_group_name_Hall 'P 1'
loop_
_atom_site_label
_atom_site_type_symbol
_atom_site_fract_x
_atom_site_fract_y
_atom_site_fract_z
Tl1 Tl 0.000 0.000 0.000
Cd1 Cd 0.000 0.000 0.500
Se1 Se 0.333 0.667 0.276
Se2 Se 0.667 0.333 0.724

Q: The lowest DFT total energy belongs to which entry?
A: TlCdSe2

Copy entry 2 word for word.
# Cd2TeSe | Materials Project | PBE-GGA | optimized geometry
# **DFT total energy**: -2.65 eV/atom
# **Formation enthalpy at 0 K**: -0.645 eV/atom
# **Relative energy among the computed polymorphs**: 0 meV/atom
# **Crystal system**: tetragonal
data_Cd2TeSe
_cell_length_a 4.545
_cell_length_b 4.545
_cell_length_c 6.394
_cell_angle_alpha 90.00
_cell_angle_beta 90.00
_cell_angle_gamma 90.00
_space_group_name_H-M_alt 'P 1'
_space_group_IT_number 1
_space_group_name_Hall 'P 1'
loop_
_atom_site_label
_atom_site_type_symbol
_atom_site_fract_x
_atom_site_fract_y
_atom_site_fract_z
Cd1 Cd 0.000 0.500 0.233
Cd2 Cd 0.500 0.000 0.767
Te1 Te 0.000 0.000 0.500
Se1 Se 0.500 0.500 0.000

Q: What is the formula in the sixth record?
A: TlCdSe2

Q: Which value of DFT total energy does entry 6 give?
A: -2.91 eV/atom